Record 1
VASP calculation (PBE+U) on a relaxed LiCr4Hg2O8 crystal.

## Properties
**Spin magnetization**: 12.8 μB per formula unit
**Total DFT energy (no corrections)**: -6.0219 eV per atom
**Mass density**: 6.406 g/cm3
**Energy relative to the lowest polymorph listed for this composition**: 217 meV/atom
**Energy of formation**: -1.54 eV per atom

a = 9.1718 Å, b = 9.1718 Å, c = 9.1718 Å
α = 90.00°, β = 90.00°, γ = 90.00°
Space group F-43m (No. 216)
Unique sites:
Li: 0.0000 0.0000 0.0000 (multiplicity 4)
Cr: 0.1333 0.1333 0.1333 (multiplicity 16)
Hg: 0.0000 0.0000 0.5000 (multiplicity 4)
Hg: 0.2500 0.2500 0.7500 (multiplicity 4)
O: 0.1065 0.1065 0.8935 (multiplicity 16)
O: 0.1487 0.1487 0.3513 (multiplicity 16)

Record 2
VASP calculation (PBE+U) on a relaxed Sr3MgFe2O6 crystal.

## Properties
**Spin magnetization**: 8.0 μB per formula unit
**Total DFT energy (no corrections)**: -5.9665 eV per atom
**Mass density**: 4.630 g/cm3
**Energy relative to the lowest polymorph listed for this composition**: 142 meV/atom
**Energy of formation**: -2.24 eV per atom

a = 3.9570 Å, b = 3.9570 Å, c = 22.6706 Å
α = 90.00°, β = 90.00°, γ = 90.00°
Space group I-4m2 (No. 119)
Unique sites:
Sr: 0.0000 0.0000 0.0000 (multiplicity 2)
Sr: 0.0000 0.0000 0.1534 (multiplicity 4)
Mg: 0.0000 0.5000 0.7500 (multiplicity 2)
Fe: 0.0000 0.0000 0.4209 (multiplicity 4)
O: 0.0000 0.0000 0.2868 (multiplicity 4)
O: 0.0000 0.5000 0.0729 (multiplicity 4)
O: 0.0000 0.5000 0.5858 (multiplicity 4)

Record 3
VASP calculation (PBE+U) on a relaxed MgTi2Mn4O12 crystal.

## Properties
**Spin magnetization**: 14.0 μB per formula unit
**Total DFT energy (no corrections)**: -7.6217 eV per atom
**Mass density**: 3.672 g/cm3
**Energy relative to the lowest polymorph listed for this composition**: 0 meV/atom
**Energy of formation**: -2.44 eV per atom

a = 5.1305 Å, b = 5.1383 Å, c = 10.4451 Å
α = 83.08°, β = 81.14°, γ = 62.30°
Space group P1 (No. 1)
Unique sites:
Mg: 0.0000 0.0000 0.0000 (multiplicity 1)
Ti: 0.0532 0.3775 0.7345 (multiplicity 1)
Ti: 0.5884 0.9011 0.2725 (multiplicity 1)
Mn: 0.2519 0.5632 0.2511 (multiplicity 1)
Mn: 0.3905 0.7138 0.7557 (multiplicity 1)
Mn: 0.7221 0.0473 0.7592 (multiplicity 1)
Mn: 0.9176 0.2328 0.2544 (multiplicity 1)
O: 0.0264 0.7271 0.8553 (multiplicity 1)
O: 0.0415 0.0897 0.6511 (multiplicity 1)
O: 0.2282 0.2180 0.3448 (multiplicity 1)
O: 0.2500 0.9208 0.1541 (multiplicity 1)
O: 0.3576 0.0310 0.8533 (multiplicity 1)
O: 0.4226 0.3818 0.6698 (multiplicity 1)
O: 0.5678 0.5451 0.3411 (multiplicity 1)
O: 0.6657 0.1935 0.1465 (multiplicity 1)
O: 0.7466 0.7295 0.6655 (multiplicity 1)
O: 0.7516 0.3154 0.8627 (multiplicity 1)
O: 0.8624 0.9217 0.3588 (multiplicity 1)
O: 0.9451 0.5764 0.1588 (multiplicity 1)

Record 4
VASP calculation (PBE+U) on a relaxed Li6Mn3CuP6O24 crystal.

## Properties
**Spin magnetization**: 12.0 μB per formula unit
**Total DFT energy (no corrections)**: -6.7475 eV per atom
**Mass density**: 3.012 g/cm3
**Energy of formation**: -2.43 eV per atom

a = 8.4264 Å, b = 8.4776 Å, c = 8.8075 Å
α = 61.25°, β = 61.77°, γ = 62.47°
Space group P1 (No. 1)
Unique sites:
Li: 0.0000 0.0000 0.0000 (multiplicity 1)
Li: 0.0833 0.5270 0.8461 (multiplicity 1)
Li: 0.2693 0.8413 0.6301 (multiplicity 1)
Li: 0.4754 0.6936 0.3022 (multiplicity 1)
Li: 0.7306 0.3656 0.1279 (multiplicity 1)
Li: 0.9075 0.0622 0.4960 (multiplicity 1)
Mn: 0.3891 0.9956 0.7781 (multiplicity 1)
Mn: 0.6060 0.2090 0.9971 (multiplicity 1)
Mn: 0.8953 0.4930 0.2908 (multiplicity 1)
Cu: 0.1025 0.7031 0.4810 (multiplicity 1)
P: 0.1994 0.1000 0.1811 (multiplicity 1)
P: 0.3050 0.5993 0.0909 (multiplicity 1)
P: 0.5004 0.3916 0.6091 (multiplicity 1)
P: 0.6946 0.9013 0.3866 (multiplicity 1)
P: 0.7842 0.8177 0.8914 (multiplicity 1)
P: 0.9971 0.3034 0.6919 (multiplicity 1)
O: 0.0081 0.2592 0.2237 (multiplicity 1)
O: 0.0515 0.4676 0.6653 (multiplicity 1)
O: 0.1327 0.5455 0.1356 (multiplicity 1)
O: 0.1526 0.1071 0.7230 (multiplicity 1)
O: 0.1966 0.9297 0.3662 (multiplicity 1)
O: 0.1995 0.0604 0.0301 (multiplicity 1)
O: 0.2990 0.6469 0.2411 (multiplicity 1)
O: 0.3016 0.7683 0.9076 (multiplicity 1)
O: 0.3389 0.5831 0.5927 (multiplicity 1)
O: 0.3749 0.1491 0.1332 (multiplicity 1)
O: 0.4445 0.2306 0.6360 (multiplicity 1)
O: 0.4936 0.4358 0.0654 (multiplicity 1)
O: 0.5011 0.9217 0.5330 (multiplicity 1)
O: 0.5586 0.3536 0.7667 (multiplicity 1)
O: 0.6124 0.8625 0.8444 (multiplicity 1)
O: 0.6593 0.4164 0.4170 (multiplicity 1)
O: 0.7005 0.0866 0.2118 (multiplicity 1)
O: 0.7391 0.7347 0.3299 (multiplicity 1)
O: 0.7639 0.9708 0.9541 (multiplicity 1)
O: 0.8071 0.6190 0.0411 (multiplicity 1)
O: 0.8383 0.2800 0.8856 (multiplicity 1)
O: 0.8516 0.8827 0.4437 (multiplicity 1)
O: 0.9430 0.3288 0.5395 (multiplicity 1)
O: 0.9706 0.8125 0.7275 (multiplicity 1)

Record 5
VASP calculation (PBE+U) on a relaxed Li7Co5O12 crystal.

## Properties
**Spin magnetization**: 2.0 μB per formula unit
**Total DFT energy (no corrections)**: -5.5398 eV per atom
**Mass density**: 4.237 g/cm3
**Energy relative to the lowest polymorph listed for this composition**: 50 meV/atom
**Energy of formation**: -1.71 eV per atom

a = 5.7767 Å, b = 5.8269 Å, c = 6.5709 Å
α = 103.18°, β = 102.59°, γ = 90.52°
Space group P-1 (No. 2)
Unique sites:
Li: 0.0000 0.0000 0.0000 (multiplicity 1)
Li: 0.0000 0.5000 0.0000 (multiplicity 1)
Li: 0.1645 0.1676 0.6730 (multiplicity 2)
Li: 0.3268 0.8325 0.3228 (multiplicity 2)
Li: 0.5000 0.5000 0.0000 (multiplicity 1)
Co: 0.1644 0.6734 0.6693 (multiplicity 2)
Co: 0.3273 0.3256 0.3252 (multiplicity 2)
Co: 0.5000 0.0000 0.0000 (multiplicity 1)
O: 0.0821 0.5775 0.3337 (multiplicity 2)
O: 0.0907 0.1104 0.3407 (multiplicity 2)
O: 0.2673 0.7662 0.9889 (multiplicity 2)
O: 0.2759 0.2330 0.0141 (multiplicity 2)
O: 0.4181 0.4413 0.6540 (multiplicity 2)
O: 0.4192 0.9228 0.6893 (multiplicity 2)

Record 6
VASP calculation (PBE+U) on a relaxed Li4MnP6O18 crystal.

## Properties
**Spin magnetization**: 5.0 μB per formula unit
**Total DFT energy (no corrections)**: -6.8936 eV per atom
**Mass density**: 2.691 g/cm3
**Energy relative to the lowest polymorph listed for this composition**: 4 meV/atom
**Energy of formation**: -2.61 eV per atom

a = 12.4831 Å, b = 7.8615 Å, c = 14.0320 Å
α = 90.00°, β = 94.14°, γ = 90.00°
Space group C2/c (No. 15)
Unique sites:
Li: 0.1697 0.1300 0.4243 (multiplicity 8)
Li: 0.1708 0.3876 0.9527 (multiplicity 8)
Mn: 0.0000 0.3745 0.2500 (multiplicity 4)
P: 0.0846 0.3140 0.6096 (multiplicity 8)
P: 0.0921 0.0548 0.1130 (multiplicity 8)
P: 0.2305 0.1388 0.7508 (multiplicity 8)
O: 0.0061 0.1824 0.1305 (multiplicity 8)
O: 0.0058 0.4347 0.8741 (multiplicity 8)
O: 0.0309 0.1266 0.5979 (multiplicity 8)
O: 0.1534 0.2941 0.7115 (multiplicity 8)
O: 0.1586 0.3456 0.5314 (multiplicity 8)
O: 0.1596 0.0243 0.2139 (multiplicity 8)
O: 0.1668 0.0798 0.0349 (multiplicity 8)
O: 0.1681 0.3547 0.3018 (multiplicity 8)
O: 0.2343 0.1358 0.8569 (multiplicity 8)

Record 7
VASP calculation (PBE+U) on a relaxed MnH14C8N2O6 crystal.

## Properties
**Spin magnetization**: 5.0 μB per formula unit
**Total DFT energy (no corrections)**: -6.1933 eV per atom
**Mass density**: 1.421 g/cm3
**Energy of formation**: -0.68 eV per atom

a = 16.4022 Å, b = 8.0331 Å, c = 10.2572 Å
α = 90.00°, β = 90.00°, γ = 90.00°
Space group Pbcn (No. 60)
Unique sites:
Mn: 0.0000 0.1619 0.2500 (multiplicity 4)
H: 0.0769 0.4815 0.1204 (multiplicity 8)
H: 0.1360 0.3013 0.5517 (multiplicity 8)
H: 0.1628 0.1569 0.6782 (multiplicity 8)
H: 0.1850 0.2796 0.9093 (multiplicity 8)
H: 0.2045 0.5004 0.4136 (multiplicity 8)
H: 0.2269 0.1365 0.3291 (multiplicity 8)
H: 0.2397 0.2837 0.6035 (multiplicity 8)
C: 0.0400 0.0472 0.9811 (multiplicity 8)
C: 0.1068 0.4745 0.2168 (multiplicity 8)
C: 0.1759 0.2797 0.6359 (multiplicity 8)
C: 0.2090 0.3867 0.8544 (multiplicity 8)
N: 0.1625 0.4069 0.7346 (multiplicity 8)
O: 0.0692 0.1460 0.0656 (multiplicity 8)
O: 0.0697 0.0178 0.8693 (multiplicity 8)
O: 0.0888 0.3635 0.2989 (multiplicity 8)

Record 8
VASP calculation (PBE+U) on a relaxed MnH7C3NO6 crystal.

## Properties
**Spin magnetization**: 5.0 μB per formula unit
**Total DFT energy (no corrections)**: -6.3053 eV per atom
**Mass density**: 1.688 g/cm3
**Energy relative to the lowest polymorph listed for this composition**: 1 meV/atom
**Energy of formation**: -1.15 eV per atom

a = 12.7994 Å, b = 8.6098 Å, c = 12.8320 Å
α = 90.00°, β = 119.72°, γ = 90.00°
Space group P2_1 (No. 4)
Unique sites:
Mn: 0.0048 0.0000 0.3355 (multiplicity 2)
Mn: 0.3296 0.0021 0.9928 (multiplicity 2)
Mn: 0.3362 0.5005 0.3308 (multiplicity 2)
H: 0.0002 0.4405 0.0000 (multiplicity 2)
H: 0.0276 0.0974 0.0877 (multiplicity 2)
H: 0.0487 0.7136 0.5024 (multiplicity 2)
H: 0.0607 0.0971 0.9724 (multiplicity 2)
H: 0.0876 0.5977 0.0598 (multiplicity 2)
H: 0.1264 0.7215 0.2833 (multiplicity 2)
H: 0.1569 0.7217 0.8738 (multiplicity 2)
H: 0.1612 0.3008 0.3785 (multiplicity 2)
H: 0.2184 0.3012 0.8384 (multiplicity 2)
H: 0.2457 0.4069 0.6404 (multiplicity 2)
H: 0.2756 0.9118 0.5788 (multiplicity 2)
H: 0.2832 0.2216 0.1568 (multiplicity 2)
H: 0.3028 0.9116 0.7246 (multiplicity 2)
H: 0.3332 0.0689 0.6666 (multiplicity 2)
H: 0.3334 0.5639 0.6669 (multiplicity 2)
H: 0.3602 0.4069 0.6058 (multiplicity 2)
H: 0.3801 0.8019 0.2177 (multiplicity 2)
H: 0.3945 0.4071 0.7542 (multiplicity 2)
H: 0.4216 0.9117 0.6969 (multiplicity 2)
H: 0.4528 0.7128 0.9493 (multiplicity 2)
H: 0.4975 0.7132 0.5462 (multiplicity 2)
C: 0.0482 0.2347 0.5318 (multiplicity 2)
C: 0.1343 0.2731 0.2843 (multiplicity 2)
C: 0.1512 0.2721 0.8658 (multiplicity 2)
C: 0.1893 0.7386 0.3803 (multiplicity 2)
C: 0.1912 0.7388 0.8107 (multiplicity 2)
C: 0.2864 0.7755 0.1490 (multiplicity 2)
C: 0.3805 0.2384 0.1912 (multiplicity 2)
C: 0.4682 0.2349 0.5164 (multiplicity 2)
C: 0.4843 0.2334 0.9546 (multiplicity 2)
N: 0.0002 0.0593 0.0000 (multiplicity 2)
N: 0.3335 0.4451 0.6669 (multiplicity 2)
N: 0.3334 0.9503 0.6667 (multiplicity 2)
O: 0.0591 0.3574 0.8295 (multiplicity 2)
O: 0.0681 0.1537 0.2383 (multiplicity 2)
O: 0.0957 0.3501 0.6024 (multiplicity 2)
O: 0.1039 0.1452 0.4980 (multiplicity 2)
O: 0.1574 0.6465 0.7232 (multiplicity 2)
O: 0.1669 0.8526 0.4299 (multiplicity 2)
O: 0.1712 0.3603 0.2299 (multiplicity 2)
O: 0.1722 0.1526 0.9322 (multiplicity 2)
O: 0.2353 0.8622 0.0572 (multiplicity 2)
O: 0.2374 0.6583 0.1683 (multiplicity 2)
O: 0.2631 0.8525 0.8327 (multiplicity 2)
O: 0.2768 0.6463 0.4339 (multiplicity 2)
O: 0.3940 0.1437 0.9013 (multiplicity 2)
O: 0.3975 0.3503 0.4934 (multiplicity 2)
O: 0.4298 0.3528 0.2629 (multiplicity 2)
O: 0.4348 0.1459 0.1581 (multiplicity 2)
O: 0.4931 0.8473 0.0946 (multiplicity 2)
O: 0.4980 0.6457 0.3942 (multiplicity 2)